Compound: Li2CdCl4
Source: the Materials Project database
Functional: PBE
Structure: optimized geometry Values from VASP.

Cell and atoms, written as Quantum ESPRESSO input:
```
&SYSTEM
  ibrav = 0, nat = 14, ntyp = 3
/
ATOMIC_SPECIES
Li 6.94 Li.upf
Cd 112.41 Cd.upf
Cl 35.45 Cl.upf
CELL_PARAMETERS angstrom
-3.7916 3.8830 5.2982
3.7916 -3.8830 5.2982
3.7916 3.8830 -5.2982
ATOMIC_POSITIONS crystal
Li 0.0000 0.0000 0.5000
Li 0.0000 0.5000 0.0000
Li 0.3868 0.1368 0.2500
Li 0.6132 0.8632 0.7500
Cd 0.0000 0.5000 0.5000
Cd 0.5000 0.5000 0.0000
Cl 0.2294 0.7460 0.4834
Cl 0.2374 0.2540 0.9834
Cl 0.2438 0.2485 0.5047
Cl 0.2438 0.7391 0.9953
Cl 0.7562 0.2609 0.0047
Cl 0.7562 0.7515 0.4953
Cl 0.7626 0.7460 0.0166
Cl 0.7706 0.2540 0.5166
```

The calculation puts the formation energy at -1852 meV/atom.